Version A
VASP calculation (PBE with a Hubbard U) on an optimized crystal structure of Li4Co7O2F14.

Properties
Theoretical density   3.8 g/cm³
Volume   319 Å³/cell
Magnetic moment   0.778 μB/atom

a b c (Å): 5.1019 5.9527 10.5024
angles (deg): 92.41 91.05 90.96
With the nearest neighbours (Å) after each atom.
Positions (direct):
Li1 0.5429 0.2358 0.0810  4 F 1.85-2.00
Li2 0.0247 0.7425 0.4067  1 O 1.85, 3 F 1.93-1.95
Li3 0.9753 0.2575 0.5933  1 O 1.85, 3 F 1.93-1.95
Li4 0.4571 0.7642 0.9190  4 F 1.85-2.00
Co1 0.0000 0.5000 0.0000  6 F 2.01-2.15
Co2 0.4952 0.7461 0.2425  1 O 1.97, 3 F 2.01-2.19
Co3 0.9881 0.2337 0.2583  6 F 2.04-2.18
Co4 0.5000 0.0000 0.5000  2 O 1.94
Co5 0.5000 0.5000 0.5000  2 O 1.94
Co6 0.0119 0.7663 0.7417  6 F 2.04-2.18
Co7 0.5048 0.2539 0.7575  1 O 1.97, 3 F 2.01-2.19
O1 0.6623 0.7460 0.4127  1 Li 1.85, 3 Co 1.94-1.97
O2 0.3377 0.2540 0.5873  1 Li 1.85, 3 Co 1.94-1.97
F1 0.2954 0.7119 0.0756  1 Li 1.89, 2 Co 2.01-2.07
F2 0.1825 0.2546 0.0910  1 Li 1.85, 2 Co 2.01-2.04
F3 0.7097 0.0183 0.1794  1 Li 1.89, 2 Co 2.04-2.08
F4 0.7575 0.4862 0.1648  1 Li 2.00, 3 Co 2.15-2.20
F5 0.2255 0.4957 0.3322  1 Li 1.95, 1 Co 2.07
F6 0.2190 0.9802 0.3299  1 Li 1.93, 1 Co 2.09
F7 0.7877 0.2470 0.4306  1 Li 1.94, 1 Co 2.09
F8 0.2123 0.7530 0.5694  1 Li 1.94, 1 Co 2.09
F9 0.7810 0.0198 0.6701  1 Li 1.93, 1 Co 2.09
F10 0.7745 0.5043 0.6678  1 Li 1.95, 1 Co 2.07
F11 0.2425 0.5138 0.8352  1 Li 2.00, 3 Co 2.15-2.20
F12 0.2903 0.9817 0.8206  1 Li 1.89, 2 Co 2.04-2.08
F13 0.8175 0.7454 0.9090  1 Li 1.85, 2 Co 2.01-2.04
F14 0.7046 0.2881 0.9244  1 Li 1.89, 2 Co 2.01-2.07


Version B
VASP calculation (PBE with a Hubbard U) on an optimized crystal structure of Li4Co7O2F14.

Properties
Theoretical density   3.8 g/cm³
Volume   324 Å³/cell
Magnetic moment   0.778 μB/atom

a b c (Å): 6.0517 6.0906 10.5803
angles (deg): 91.42 105.90 118.55
With the nearest neighbours (Å) after each atom.
Positions (direct):
Li1 0.6406 0.3490 0.4448  1 O 1.94, 3 F 1.95-2.00
Li2 0.3764 0.1688 0.0565  4 F 1.92-2.02
Li3 0.6250 0.8252 0.9473  1 O 1.95, 3 F 1.97-2.03
Li4 0.3740 0.6659 0.5584  4 F 1.94-2.07
Co1 0.0039 0.4881 0.9941  6 F 1.99-2.14
Co2 0.5246 0.7497 0.2503  2 O 1.98-1.99, 3 F 2.15-2.20
Co3 0.9897 0.2352 0.2441  1 O 1.93, 5 F 2.09-2.16
Co4 0.9969 0.7494 0.7496  6 F 2.03-2.13
Co5 0.9798 0.9901 0.4997  1 O 1.96, 3 F 2.05-2.13
Co6 0.9812 0.7565 0.2513  2 O 1.99, 4 F 2.15-2.20
Co7 0.4958 0.2446 0.7481  6 F 2.03-2.15
O1 0.7696 0.6637 0.3752  1 Li 1.94, 3 Co 1.96-1.99
O2 0.7659 0.8926 0.1421  3 Co 1.93-1.99, 1 Li 1.95
F1 0.2434 0.3754 0.1215  1 Li 1.98, 3 Co 2.08-2.20
F2 0.7445 0.3932 0.6391  1 Li 1.95, 2 Co 2.03
F3 0.2385 0.8441 0.1307  1 Li 2.02, 3 Co 2.14-2.17
F4 0.2461 0.8744 0.6295  1 Li 2.00, 3 Co 2.11-2.21
F5 0.7590 0.8566 0.6258  1 Li 1.94, 2 Co 2.03-2.05
F6 0.7704 0.3839 0.1215  1 Li 1.99, 3 Co 2.11-2.19
F7 0.2338 0.6445 0.8812  1 Li 1.97, 2 Co 1.99-2.06
F8 0.2434 0.1383 0.3758  1 Li 2.00, 3 Co 2.09-2.22
F9 0.7624 0.1408 0.3763  1 Li 1.95, 2 Co 2.12-2.13
F10 0.7388 0.1471 0.8788  1 Li 1.97, 2 Co 2.00-2.05
F11 0.2338 0.6145 0.3522  1 Li 2.07, 3 Co 2.12-2.15
F12 0.2521 0.3394 0.6177  1 Li 1.95, 2 Co 2.04-2.05
F13 0.2553 0.1054 0.8641  1 Li 1.92, 2 Co 2.05
F14 0.7550 0.6138 0.8743  1 Li 2.03, 3 Co 2.13-2.15


Energies relative to the most stable structure, in eV/atom: version A 0.000; version B 0.006.


Version A
VASP calculation (PBE with a Hubbard U) on an optimized crystal structure of LiCo5O7F.

Properties
Theoretical density   4.9 g/cm³
Volume   290 Å³/cell

a b c (Å): 5.9640 5.9412 10.1030
angles (deg): 89.43 72.82 120.12
With the nearest neighbours (Å) after each atom.
Positions (direct):
Li1 0.9857 0.9924 0.0211  1 F 1.89, 3 O 1.98-2.01
Li2 0.9864 0.4931 0.5204  1 F 1.88, 3 O 1.98-2.01
Co1 0.7619 0.3829 0.8592  4 O 1.91-2.00
Co2 0.3836 0.9380 0.6810  5 O 1.90-2.02
Co3 0.3820 0.4375 0.1820  5 O 1.89-2.04
Co4 0.8733 0.9380 0.6810  5 O 1.90-2.02
Co5 0.8736 0.4375 0.1820  5 O 1.89-2.04
Co6 0.7607 0.8821 0.3608  4 O 1.90-2.01
Co7 0.3738 0.6867 0.9391  6 O 1.95-2.07
Co8 0.3741 0.1876 0.4393  6 O 1.95-2.08
Co9 0.3787 0.4400 0.6825  5 O 1.89-2.09
Co10 0.3810 0.9427 0.1808  5 O 1.90-2.05
O1 0.6307 0.8228 0.5613  4 Co 1.90-2.09
O2 0.6285 0.3182 0.0607  4 Co 1.91-2.05
O3 0.1709 0.5828 0.7944  4 Co 1.94-2.07
O4 0.1717 0.0827 0.2935  4 Co 1.94-2.08
O5 0.6174 0.5827 0.7944  4 Co 1.94-2.07
O6 0.6177 0.0827 0.2935  4 Co 1.94-2.08
O7 0.6127 0.0278 0.8024  4 Co 1.98-2.00
O8 0.6131 0.5283 0.3021  4 Co 1.98-2.01
O9 0.1384 0.3521 0.0751  3 Co 1.93-1.95, 1 Li 2.01
O10 0.1395 0.8529 0.5738  3 Co 1.94-1.95, 1 Li 2.01
O11 0.1309 0.7893 0.0815  3 Co 1.89-2.05, 1 Li 1.98
O12 0.1321 0.2915 0.5815  3 Co 1.89-2.05, 1 Li 1.98
O13 0.5769 0.7892 0.0814  3 Co 1.89-2.05, 1 Li 1.98
O14 0.5779 0.2915 0.5814  3 Co 1.89-2.05, 1 Li 1.98
F1 0.1138 0.5491 0.3220  1 Li 1.88
F2 0.1131 0.0480 0.8220  1 Li 1.89


Version B
VASP calculation (PBE with a Hubbard U) on an optimized crystal structure of LiCo5O7F.

Properties
Theoretical density   5.1 g/cm³
Volume   284 Å³/cell
Magnetic moment   0.500 μB/atom

a b c (Å): 5.7984 5.7984 10.1637
angles (deg): 74.32 91.42 61.32
With the nearest neighbours (Å) after each atom.
Positions (direct):
Li1 0.0239 0.0116 0.0082  1 F 1.84, 3 O 2.00-2.02
Li2 0.5168 0.0141 0.5046  1 F 1.90, 3 O 1.94-1.99
Co1 0.3596 0.2356 0.1219  4 O 1.87-1.99
Co2 0.8634 0.2467 0.6202  4 O 1.92-2.00
Co3 0.9368 0.6220 0.3146  6 O 1.93-1.99
Co4 0.4402 0.6300 0.8108  6 O 1.94-2.14
Co5 0.1828 0.6243 0.5615  5 O 1.88-1.95, 1 F 1.98
Co6 0.6837 0.6170 0.0634  5 O 1.92-2.03
Co7 0.9216 0.1230 0.3098  5 O 1.90-2.02
Co8 0.4319 0.1294 0.8087  5 O 1.88-2.07
Co9 0.4331 0.6111 0.3096  5 O 1.90-2.02
Co10 0.9375 0.6237 0.8083  5 O 1.88-2.06
O1 0.5599 0.3725 0.1852  4 Co 1.87-2.03
O2 0.0686 0.3966 0.6742  4 Co 1.88-2.07
O3 0.0208 0.3804 0.1957  4 Co 1.95-1.99
O4 0.5208 0.3950 0.6929  4 Co 1.95-2.00
O5 0.5776 0.8234 0.1952  4 Co 1.95-1.99
O6 0.0849 0.8320 0.6933  4 Co 1.95-2.00
O7 0.7977 0.3841 0.4147  4 Co 1.95-1.98
O8 0.2905 0.3722 0.9175  4 Co 1.91-2.14
O9 0.0733 0.8570 0.2149  3 Co 1.90-1.96, 1 Li 2.00
O10 0.5893 0.8845 0.7066  2 Co 1.88, 1 Li 1.94
O11 0.2864 0.4250 0.4312  3 Co 1.90-1.93, 1 Li 1.99
O12 0.7929 0.4283 0.9281  3 Co 1.92-1.95, 1 Li 2.02
O13 0.8542 0.8567 0.4307  3 Co 1.90-1.93, 1 Li 1.99
O14 0.3607 0.8619 0.9286  3 Co 1.92-1.94, 1 Li 2.01
F1 0.3146 0.8626 0.4551  1 Li 1.90, 1 Co 1.98
F2 0.8265 0.8794 0.9444  1 Li 1.84


Energies relative to the most stable structure, in eV/atom: version A 0.012; version B 0.000.


Version A
VASP calculation (PBE with a Hubbard U) on an optimized crystal structure of Li2CoOF3.

Properties
Theoretical density   3.3 g/cm³
Volume   297 Å³/cell
Magnetic moment   0.000 μB/atom

a b c (Å): 5.8405 8.6545 5.8703
angles (deg): 90.95 90.00 90.00
With the nearest neighbours (Å) after each atom.
Positions (direct):
Li1 0.2500 0.2500 0.2500  6 F 2.02-2.09
Li2 0.7500 0.7500 0.7500  6 F 2.02-2.09
Li3 0.2500 0.2500 0.7500  4 F 2.02, 2 O 2.19
Li4 0.7500 0.7500 0.2500  4 F 2.02, 2 O 2.19
Li5 0.7500 0.3682 0.4761  3 F 1.92-1.95, 1 O 2.05
Li6 0.2500 0.8682 0.9761  3 F 1.92-1.95, 1 O 2.05
Li7 0.7500 0.1318 0.0239  3 F 1.92-1.95, 1 O 2.05
Li8 0.2500 0.6318 0.5239  3 F 1.92-1.95, 1 O 2.05
Co1 0.0000 0.5000 0.0000  2 O 1.83, 2 F 2.04
Co2 0.0000 0.0000 0.5000  2 O 1.83, 2 F 2.04
Co3 0.5000 0.0000 0.5000  2 O 1.83, 2 F 2.04
Co4 0.5000 0.5000 0.0000  2 O 1.83, 2 F 2.04
O1 0.7500 0.0000 0.3117  2 Co 1.83
O2 0.2500 0.5000 0.8117  2 Co 1.83
O3 0.7500 0.5000 0.1883  2 Co 1.83
O4 0.2500 0.0000 0.6883  2 Co 1.83
F1 0.2500 0.4912 0.2603  2 Li 1.95-2.09, 2 Co 2.12
F2 0.7500 0.9912 0.7603  2 Li 1.95-2.09, 2 Co 2.12
F3 0.2500 0.0088 0.2397  2 Li 1.95-2.09, 2 Co 2.12
F4 0.7500 0.5088 0.7397  2 Li 1.95-2.09, 2 Co 2.12
F5 0.4870 0.2640 0.0008  3 Li 1.92-2.02, 1 Co 2.04
F6 0.9870 0.7640 0.5008  3 Li 1.92-2.02, 1 Co 2.04
F7 0.0130 0.2640 0.0008  3 Li 1.92-2.02, 1 Co 2.04
F8 0.5130 0.7640 0.5008  3 Li 1.92-2.02, 1 Co 2.04
F9 0.4870 0.2360 0.4992  3 Li 1.92-2.02, 1 Co 2.04
F10 0.9870 0.7360 0.9992  3 Li 1.92-2.02, 1 Co 2.04
F11 0.0130 0.2360 0.4992  3 Li 1.92-2.02, 1 Co 2.04
F12 0.5130 0.7360 0.9992  3 Li 1.92-2.02, 1 Co 2.04


Version B
VASP calculation (PBE with a Hubbard U) on an optimized crystal structure of Li2CoOF3.

Properties
Theoretical density   3.2 g/cm³
Volume   151 Å³/cell
Magnetic moment   0.000 μB/atom

a b c (Å): 5.3542 5.3542 6.0319
angles (deg): 87.32 92.68 118.85
With the nearest neighbours (Å) after each atom.
Positions (direct):
Li1 0.2765 0.6881 0.6833  4 F 1.87-2.00
Li2 0.3119 0.7235 0.1833  4 F 1.87-2.00
Li3 0.6640 0.3597 0.8380  3 F 1.99-2.01
Li4 0.6403 0.3360 0.3380  3 F 1.99-2.01
Co1 0.9129 0.9516 0.0264  2 O 1.76-1.84
Co2 0.0484 0.0871 0.5264  2 O 1.76-1.84
O1 0.9732 0.1836 0.7947  2 Co 1.76-1.84
O2 0.8164 0.0268 0.2947  2 Co 1.76-1.84
F1 0.4987 0.6982 0.9371  2 Li 1.87-1.88, 1 Co 2.03
F2 0.3018 0.5013 0.4371  2 Li 1.87-1.88, 1 Co 2.03
F3 0.4196 0.0996 0.5989  1 Co 1.98, 3 Li 2.00-2.01
F4 0.9004 0.5805 0.0989  1 Co 1.98, 3 Li 2.00-2.01
F5 0.9014 0.6654 0.6217  2 Li 1.97-1.99, 1 Co 2.06
F6 0.3346 0.0986 0.1217  2 Li 1.97-1.99, 1 Co 2.06


Energies relative to the most stable structure, in eV/atom: version A 0.000; version B 0.031.